1.
Below is Cr7FeO12 after structural relaxation, with properties calculated at the GGA+U level.

Properties
- energy above the lowest structure with this stoichiometry (meV per atom) = 87
- formation energy from the elements (meV/atom) = -1817
- energy with MP2020 corrections (eV for the cell shown) = -687.0

Unit cell a=9.9919 b=10.0614 c=10.6247 alpha=86.03 beta=82.44 gamma=88.63
Last column: nearest neighbours and their distance in Å.
Space group P1 (No. 1)
Inequivalent atoms, fractional coordinates:
Cr 0.0000 0.0000 0.0000 (multiplicity 1)  4 O 1.87-2.10
Cr 0.0027 0.2411 0.2518 (multiplicity 1)  6 O 1.93-2.05
Cr 0.0572 0.3687 0.5544 (multiplicity 1)  4 O 1.84-2.04
Cr 0.1493 0.1491 0.7138 (multiplicity 1)  1 O 1.78
Cr 0.2094 0.7275 0.4012 (multiplicity 1)  5 O 1.89-2.10
Cr 0.2570 0.7170 0.8601 (multiplicity 1)  4 O 1.76-1.92
Cr 0.2744 0.7882 0.1086 (multiplicity 1)  3 O 1.91-1.94
Cr 0.2837 0.1706 0.0419 (multiplicity 1)  6 O 2.00-2.10
Cr 0.2972 0.3649 0.2114 (multiplicity 1)  3 O 1.89-2.08
Cr 0.2983 0.3698 0.8176 (multiplicity 1)  4 O 1.91-2.06
Cr 0.3090 0.1120 0.3761 (multiplicity 1)  4 O 1.89-2.05
Cr 0.3779 0.9835 0.8677 (multiplicity 1)  5 O 1.97-2.13
Cr 0.4100 0.2821 0.5630 (multiplicity 1)  4 O 1.94-2.12
Cr 0.4274 0.5486 0.3198 (multiplicity 1)  4 O 1.91-2.02
Cr 0.4825 0.8359 0.2755 (multiplicity 1)  5 O 1.93-2.11
Cr 0.5453 0.2518 0.0551 (multiplicity 1)  4 O 1.91-2.08
Cr 0.5474 0.5152 0.7831 (multiplicity 1)  4 O 1.92-2.10
Cr 0.5639 0.7088 0.9977 (multiplicity 1)  5 O 1.92-2.04
Cr 0.5934 0.9980 0.4875 (multiplicity 1)  4 O 1.87-1.97
Cr 0.6538 0.0135 0.9390 (multiplicity 1)  4 O 1.80-1.93
Cr 0.6964 0.8227 0.6866 (multiplicity 1)  5 O 1.95-2.14
Cr 0.7187 0.5386 0.4757 (multiplicity 1)  2 O 1.76-1.89
Cr 0.7487 0.5080 0.1913 (multiplicity 1)  5 O 1.92-2.14
Cr 0.7700 0.8307 0.1169 (multiplicity 1)  5 O 1.94-2.01
Cr 0.7946 0.1892 0.5263 (multiplicity 1)  3 O 1.77-1.97
Cr 0.8451 0.7970 0.3612 (multiplicity 1)  5 O 1.93-2.10
Cr 0.8758 0.5314 0.7879 (multiplicity 1)  4 O 1.75-1.92
Cr 0.9769 0.7177 0.5853 (multiplicity 1)  5 O 1.90-2.09
Fe 0.0336 0.5226 0.2510 (multiplicity 1)  4 O 1.90-1.99
Fe 0.0798 0.9563 0.2589 (multiplicity 1)  3 O 1.92-2.14
Fe 0.3587 0.7814 0.6063 (multiplicity 1)  3 O 1.92-2.09
Fe 0.8604 0.3014 0.0119 (multiplicity 1)  5 O 2.00-2.22
O 0.0245 0.8034 0.4115 (multiplicity 1)  3 Cr 1.94-1.99
O 0.0257 0.0742 0.8320 (multiplicity 1)  2 Cr 1.78-1.87
O 0.0552 0.3770 0.3715 (multiplicity 1)  1 Fe 1.91, 2 Cr 1.94-2.05
O 0.1315 0.1122 0.3337 (multiplicity 1)  2 Cr 1.89-2.04, 1 Fe 1.92
O 0.1573 0.3042 0.1281 (multiplicity 1)  3 Cr 1.89-2.01
O 0.1569 0.7007 0.0100 (multiplicity 1)  2 Cr 1.76-1.94
O 0.1756 0.7251 0.5804 (multiplicity 1)  2 Cr 1.89-1.98, 1 Fe 1.99
O 0.1995 0.9819 0.0408 (multiplicity 1)  3 Cr 2.10-2.18
O 0.2107 0.3414 0.6630 (multiplicity 1)  4 Cr 2.00-2.22
O 0.2185 0.5838 0.2655 (multiplicity 1)  1 Fe 1.99, 1 Cr 2.10
O 0.2687 0.8768 0.7654 (multiplicity 1)  2 Cr 1.83-2.01
O 0.2736 0.8643 0.2684 (multiplicity 1)  3 Cr 1.91-2.11, 1 Fe 2.14
O 0.2775 0.1705 0.8457 (multiplicity 1)  4 Cr 2.02-2.12
O 0.2948 0.1252 0.5576 (multiplicity 1)  3 Cr 1.93-2.08
O 0.3416 0.5694 0.7981 (multiplicity 1)  1 Cr 1.81
O 0.3666 0.3726 0.3869 (multiplicity 1)  3 Cr 1.94-2.12
O 0.3798 0.1914 0.1980 (multiplicity 1)  3 Cr 1.92-2.05
O 0.3840 0.3522 0.0072 (multiplicity 1)  2 Cr 1.99-2.09
O 0.3902 0.7937 0.9464 (multiplicity 1)  4 Cr 1.92-2.04
O 0.4035 0.7042 0.4174 (multiplicity 1)  3 Cr 1.93-2.03
O 0.4514 0.6809 0.1674 (multiplicity 1)  4 Cr 2.00-2.19
O 0.4602 0.9933 0.3712 (multiplicity 1)  3 Cr 1.90-1.94
O 0.4633 0.0889 0.9842 (multiplicity 1)  4 Cr 1.97-2.08
O 0.4658 0.3605 0.7087 (multiplicity 1)  3 Cr 1.91-2.03
O 0.5396 0.8455 0.5955 (multiplicity 1)  2 Cr 1.90-1.95, 1 Fe 1.92
O 0.5839 0.1773 0.5248 (multiplicity 1)  2 Cr 1.87-2.02
O 0.5878 0.9631 0.8005 (multiplicity 1)  1 Cr 1.80
O 0.5897 0.8827 0.0732 (multiplicity 1)  3 Cr 1.93-2.01
O 0.6120 0.6899 0.8189 (multiplicity 1)  3 Cr 1.92-1.99
O 0.6142 0.5300 0.3406 (multiplicity 1)  3 Cr 1.89-1.96
O 0.6684 0.3677 0.1137 (multiplicity 1)  2 Cr 1.91-1.92
O 0.6753 0.8312 0.2961 (multiplicity 1)  3 Cr 1.93-2.01
O 0.7052 0.1823 0.9573 (multiplicity 1)  2 Cr 1.82-1.93
O 0.7289 0.4463 0.7734 (multiplicity 1)  2 Cr 1.75-1.92
O 0.7302 0.6547 0.0668 (multiplicity 1)  3 Cr 1.93-1.95
O 0.7519 0.3726 0.5277 (multiplicity 1)  2 Cr 1.76-1.88
O 0.7675 0.9796 0.5552 (multiplicity 1)  3 Cr 1.97-2.13
O 0.7824 0.7048 0.5353 (multiplicity 1)  4 Cr 1.98-2.14
O 0.8259 0.9339 0.9582 (multiplicity 1)  3 Cr 1.91-1.99
O 0.8535 0.1635 0.3655 (multiplicity 1)  2 Cr 1.77-1.93
O 0.8699 0.6177 0.2982 (multiplicity 1)  1 Fe 1.90, 1 Cr 1.97
O 0.8829 0.7214 0.7524 (multiplicity 1)  2 Cr 1.90-1.92
O 0.9214 0.4082 0.1710 (multiplicity 1)  1 Fe 1.94, 2 Cr 1.97-2.04
O 0.9378 0.8690 0.1810 (multiplicity 1)  2 Cr 1.95-2.10, 1 Fe 1.99
O 0.9528 0.1448 0.1047 (multiplicity 1)  2 Cr 1.91-2.02, 1 Fe 2.06
O 0.9633 0.2139 0.5993 (multiplicity 1)  2 Cr 1.84-1.97
O 0.9659 0.4347 0.8918 (multiplicity 1)  1 Cr 1.75
O 0.9782 0.5262 0.6235 (multiplicity 1)  3 Cr 1.90-1.94

=====

2.
Below is LiMn2F9 after structural relaxation, with properties calculated at the GGA+U level.

Properties
- energy above the lowest structure with this stoichiometry (meV per atom) = 70
- formation energy from the elements (meV/atom) = -2489
- energy with MP2020 corrections (eV for the cell shown) = -134.7

Unit cell a=4.9232 b=8.5020 c=8.8063 alpha=113.19 beta=105.33 gamma=90.87
Last column: nearest neighbours and their distance in Å.
Space group P-1 (No. 2)
Inequivalent atoms, fractional coordinates:
Li 0.0372 0.1314 0.4219 (multiplicity 2)  3 F 1.94-1.99
Mn 0.3056 0.7575 0.2407 (multiplicity 2)  6 F 1.78-1.97
Mn 0.3956 0.6697 0.7998 (multiplicity 2)  5 F 1.74-1.90
F 0.0406 0.3478 0.8924 (multiplicity 2)  1 Mn 1.78
F 0.0624 0.5531 0.6744 (multiplicity 2)  1 Mn 1.74
F 0.1974 0.9636 0.2572 (multiplicity 2)  1 Mn 1.80, 1 Li 1.94
F 0.2185 0.7756 0.4320 (multiplicity 2)  1 Mn 1.80, 1 Li 1.99
F 0.2668 0.8694 0.8137 (multiplicity 2)  1 Mn 1.79
F 0.3257 0.1399 0.6294 (multiplicity 2)  1 Mn 1.85, 1 Li 1.97
F 0.4058 0.7309 0.0318 (multiplicity 2)  2 Mn 1.89-1.96
F 0.4318 0.3253 0.3489 (multiplicity 2)  1 Mn 1.75
F 0.4420 0.5324 0.2045 (multiplicity 2)  2 Mn 1.90-1.97